1.
Crystalline Hf2N2O at its relaxed geometry, computed with r²SCAN.

abc: 8.6667 8.6717 8.6756
angles: 109.49 109.45 109.39
Last column: nearest neighbours and their distance in Å.
Positions (direct):
Hf  0.2806  0.5378  0.7500  5 N 2.11-2.26, 1 O 2.20
Hf  0.0015  0.0109  0.5099  4 N 2.08-2.22, 2 O 2.25-2.27
Hf  0.2503  0.7854  0.5408  3 N 2.09-2.21, 3 O 2.11-2.17
Hf  0.4913  0.9960  0.0032  4 N 2.09-2.16, 2 O 2.19-2.23
Hf  0.9886  0.4819  0.9914  4 N 2.08-2.16, 2 O 2.24-2.29
Hf  0.2234  0.9666  0.2580  2 N 2.06-2.08, 4 O 2.11-2.21
Hf  0.9636  0.7476  0.7146  4 N 2.12-2.22, 2 O 2.12-2.23
Hf  0.7503  0.2137  0.4712  5 N 2.09-2.21, 1 O 2.28
Hf  0.0425  0.2607  0.2911  3 N 2.09-2.17, 3 O 2.12-2.20
Hf  0.4679  0.7494  0.2106  5 N 2.11-2.23, 1 O 2.22
Hf  0.7907  0.0306  0.7478  5 N 2.11-2.24, 1 O 2.19
Hf  0.5118  0.5115  0.5008  4 N 2.08-2.20, 2 O 2.24
Hf  0.7458  0.7158  0.9671  3 N 2.05-2.13, 3 O 2.11-2.27
Hf  0.7031  0.4602  0.2413  4 N 2.10-2.21, 2 O 2.20-2.21
Hf  0.2480  0.2895  0.0298  5 N 2.10-2.20, 1 O 2.27
Hf  0.5339  0.2495  0.7859  2 O 2.11-2.22, 4 N 2.12-2.26
O  0.5323  0.9858  0.7598  4 Hf 2.12-2.23
O  0.9687  0.7260  0.4536  4 Hf 2.11-2.25
O  0.2334  0.7273  0.2699  4 Hf 2.14-2.24
O  0.7735  0.2343  0.2240  4 Hf 2.12-2.28
O  0.0173  0.7451  0.9706  4 Hf 2.12-2.29
O  0.9588  0.9669  0.2224  4 Hf 2.11-2.27
O  0.4873  0.4522  0.7264  4 Hf 2.11-2.24
O  0.2703  0.2250  0.2669  4 Hf 2.11-2.27
N  0.5083  0.5425  0.2720  4 Hf 2.08-2.19
N  0.0466  0.0322  0.7696  4 Hf 2.09-2.16
N  0.2633  0.5371  0.4844  4 Hf 2.09-2.26
N  0.2235  0.4888  0.9527  4 Hf 2.10-2.21
N  0.9888  0.2615  0.0373  4 Hf 2.08-2.20
N  0.5499  0.7749  0.0126  4 Hf 2.05-2.24
N  0.7282  0.9498  0.4634  4 Hf 2.11-2.21
N  0.2744  0.0440  0.5315  4 Hf 2.08-2.22
N  0.7252  0.7707  0.7416  4 Hf 2.09-2.22
N  0.7580  0.2698  0.7278  4 Hf 2.08-2.24
N  0.4625  0.0124  0.2376  4 Hf 2.06-2.23
N  0.4574  0.2250  0.9891  4 Hf 2.13-2.17
N  0.2277  0.7643  0.7729  4 Hf 2.12-2.15
N  0.7762  0.5199  0.0498  4 Hf 2.11-2.26
N  0.0333  0.2703  0.5411  4 Hf 2.08-2.17
N  0.7419  0.4674  0.5094  4 Hf 2.12-2.21

Output
Symmetry: P1, No. 1
Total magnetization in μB/f.u.: 0.00
Calculated formation energy in eV per atom: -2.5687

---

2.
Crystalline Hf2N2O at its relaxed geometry, computed with r²SCAN.

abc: 8.6474 8.6701 8.6890
angles: 109.52 109.43 109.32
Last column: nearest neighbours and their distance in Å.
Positions (direct):
O  0.2343  0.2722  0.7257  4 Hf 2.10-2.27
O  0.4814  0.7265  0.4502  4 Hf 2.10-2.29
O  0.0501  0.7745  0.0376  4 Hf 2.14-2.23
O  0.0376  0.5477  0.2721  4 Hf 2.15-2.26
O  0.2291  0.7764  0.7676  4 Hf 2.16-2.24
O  0.5322  0.7638  0.9894  4 Hf 2.16-2.24
O  0.4473  0.9808  0.2174  4 Hf 2.15-2.33
O  0.0200  0.9670  0.7402  4 Hf 2.11-2.28
Hf  0.7229  0.2557  0.4704  5 N 2.10-2.24, 1 O 2.33
Hf  0.9958  0.4889  0.9915  4 N 2.09-2.18, 2 O 2.19-2.23
Hf  0.7436  0.4622  0.2092  5 N 2.12-2.21, 1 O 2.21
Hf  0.9891  0.9907  0.4837  4 N 2.08-2.17, 2 O 2.24-2.25
Hf  0.7529  0.9724  0.7216  4 N 2.07-2.15, 2 O 2.28-2.29
Hf  0.2191  0.2581  0.9771  4 N 2.06-2.18, 2 O 2.21-2.27
Hf  0.5122  0.0191  0.0058  3 N 2.05-2.11, 3 O 2.18-2.24
Hf  0.4997  0.4904  0.5019  5 N 2.09-2.21, 1 O 2.28
Hf  0.9527  0.7098  0.7407  3 N 2.05-2.19, 3 O 2.11-2.23
Hf  0.2449  0.5317  0.7836  3 N 2.08-2.21, 3 O 2.10-2.22
Hf  0.4665  0.2103  0.7480  5 N 2.13-2.22, 1 O 2.21
Hf  0.2885  0.7533  0.5413  3 N 2.10-2.18, 3 O 2.12-2.16
Hf  0.2509  0.0388  0.2917  2 O 2.14-2.15, 4 N 2.14-2.16
Hf  0.7854  0.7474  0.0318  4 N 2.10-2.22, 2 O 2.16-2.20
Hf  0.0384  0.2819  0.2529  5 N 2.09-2.19, 1 O 2.26
Hf  0.5378  0.7834  0.2522  3 N 2.07-2.19, 3 O 2.10-2.22
N  0.4641  0.2366  0.0070  4 Hf 2.06-2.19
N  0.2225  0.9495  0.4891  4 Hf 2.10-2.22
N  0.9898  0.0322  0.2610  4 Hf 2.08-2.16
N  0.7694  0.0435  0.5131  4 Hf 2.13-2.19
N  0.7309  0.4678  0.9534  4 Hf 2.12-2.21
N  0.2767  0.5354  0.0481  4 Hf 2.10-2.21
N  0.9703  0.4611  0.7299  4 Hf 2.08-2.19
N  0.5111  0.2690  0.5422  4 Hf 2.09-2.16
N  0.7715  0.2268  0.2372  4 Hf 2.05-2.21
N  0.2759  0.2619  0.2288  4 Hf 2.06-2.19
N  0.7558  0.7271  0.2697  4 Hf 2.07-2.22
N  0.9542  0.2274  0.9650  4 Hf 2.07-2.19
N  0.5420  0.0041  0.7713  4 Hf 2.09-2.14
N  0.7305  0.7431  0.7753  4 Hf 2.10-2.21
N  0.7420  0.5192  0.4675  4 Hf 2.05-2.24
N  0.2610  0.4924  0.5380  4 Hf 2.11-2.19

Output
Symmetry: P1, No. 1
Total magnetization in μB/f.u.: 0.00
Calculated formation energy in eV per atom: -2.5676

---

3.
Crystalline Hf2N2O at its relaxed geometry, computed with r²SCAN.

abc: 8.6618 8.6739 8.6708
angles: 109.53 109.31 109.40
Last column: nearest neighbours and their distance in Å.
Positions (direct):
Hf  0.9565  0.2518  0.2144  3 N 2.08-2.18, 3 O 2.12-2.17
Hf  0.9872  0.4978  0.9897  4 N 2.08-2.19, 2 O 2.22-2.27
Hf  0.7755  0.0269  0.7411  5 N 2.09-2.20, 1 O 2.32
Hf  0.5100  0.5023  0.4998  5 N 2.09-2.19, 1 O 2.28
Hf  0.2475  0.7202  0.4717  4 N 2.07-2.14, 1 O 2.31
Hf  0.0337  0.7450  0.7819  5 N 2.09-2.20, 1 O 2.27
Hf  0.2501  0.2174  0.9633  3 N 2.09-2.18, 3 O 2.11-2.18
Hf  0.7513  0.2831  0.5364  6 N 2.12-2.26
Hf  0.7516  0.7800  0.0245  3 N 2.05-2.11, 2 O 2.14-2.29
Hf  0.4648  0.2509  0.7054  5 N 2.10-2.23, 1 O 2.22
Hf  0.5348  0.7496  0.2914  3 O 2.08-2.23, 3 N 2.12-2.14
Hf  0.2167  0.9682  0.2587  3 N 2.08-2.19, 3 O 2.13-2.19
Hf  0.7191  0.4631  0.2562  4 N 2.09-2.22, 2 O 2.20-2.24
Hf  0.5066  0.9979  0.9966  3 N 2.10-2.14, 3 O 2.12-2.20
Hf  0.0059  0.0080  0.5192  4 N 2.07-2.17, 2 O 2.28-2.29
Hf  0.2836  0.5337  0.7495  4 N 2.11-2.19, 2 O 2.13-2.18
O  0.5043  0.2279  0.9617  4 Hf 2.12-2.24
O  0.0493  0.2759  0.0151  4 Hf 2.11-2.32
O  0.7697  0.7275  0.2529  4 Hf 2.14-2.29
O  0.4861  0.7639  0.0379  4 Hf 2.14-2.30
O  0.0164  0.0525  0.2775  4 Hf 2.13-2.29
O  0.2779  0.7426  0.2216  3 Hf 2.08-2.27
O  0.2789  0.0137  0.0479  4 Hf 2.18-2.27
O  0.2205  0.4443  0.4653  4 Hf 2.12-2.31
N  0.2333  0.9618  0.5034  4 Hf 2.07-2.19
N  0.4628  0.2274  0.4506  4 Hf 2.08-2.18
N  0.7263  0.2621  0.7794  4 Hf 2.08-2.25
N  0.0351  0.4863  0.7640  4 Hf 2.11-2.20
N  0.4553  0.4659  0.2234  4 Hf 2.11-2.22
N  0.2663  0.7726  0.7305  4 Hf 2.07-2.18
N  0.7753  0.5495  0.5333  4 Hf 2.09-2.26
N  0.9911  0.9582  0.7331  4 Hf 2.07-2.18
N  0.2289  0.2723  0.7424  4 Hf 2.09-2.23
N  0.9694  0.5129  0.2401  4 Hf 2.13-2.19
N  0.7311  0.9884  0.9587  4 Hf 2.10-2.18
N  0.9617  0.7342  0.9956  4 Hf 2.06-2.19
N  0.5445  0.5382  0.7736  4 Hf 2.05-2.19
N  0.7603  0.0298  0.4832  4 Hf 2.12-2.20
N  0.5258  0.7704  0.5413  4 Hf 2.09-2.18
N  0.7349  0.2258  0.2678  4 Hf 2.08-2.16

Output
Symmetry: P1, No. 1
Total magnetization in μB/f.u.: 0.00
Calculated formation energy in eV per atom: -2.5674

---

total magnetization of number 1 (Hf2N2O)? 0.00 μB/f.u.

---

Copy entry 2 word for word.
Crystalline Hf2N2O at its relaxed geometry, computed with r²SCAN.

abc: 8.6474 8.6701 8.6890
angles: 109.52 109.43 109.32
Last column: nearest neighbours and their distance in Å.
Positions (direct):
O  0.2343  0.2722  0.7257  4 Hf 2.10-2.27
O  0.4814  0.7265  0.4502  4 Hf 2.10-2.29
O  0.0501  0.7745  0.0376  4 Hf 2.14-2.23
O  0.0376  0.5477  0.2721  4 Hf 2.15-2.26
O  0.2291  0.7764  0.7676  4 Hf 2.16-2.24
O  0.5322  0.7638  0.9894  4 Hf 2.16-2.24
O  0.4473  0.9808  0.2174  4 Hf 2.15-2.33
O  0.0200  0.9670  0.7402  4 Hf 2.11-2.28
Hf  0.7229  0.2557  0.4704  5 N 2.10-2.24, 1 O 2.33
Hf  0.9958  0.4889  0.9915  4 N 2.09-2.18, 2 O 2.19-2.23
Hf  0.7436  0.4622  0.2092  5 N 2.12-2.21, 1 O 2.21
Hf  0.9891  0.9907  0.4837  4 N 2.08-2.17, 2 O 2.24-2.25
Hf  0.7529  0.9724  0.7216  4 N 2.07-2.15, 2 O 2.28-2.29
Hf  0.2191  0.2581  0.9771  4 N 2.06-2.18, 2 O 2.21-2.27
Hf  0.5122  0.0191  0.0058  3 N 2.05-2.11, 3 O 2.18-2.24
Hf  0.4997  0.4904  0.5019  5 N 2.09-2.21, 1 O 2.28
Hf  0.9527  0.7098  0.7407  3 N 2.05-2.19, 3 O 2.11-2.23
Hf  0.2449  0.5317  0.7836  3 N 2.08-2.21, 3 O 2.10-2.22
Hf  0.4665  0.2103  0.7480  5 N 2.13-2.22, 1 O 2.21
Hf  0.2885  0.7533  0.5413  3 N 2.10-2.18, 3 O 2.12-2.16
Hf  0.2509  0.0388  0.2917  2 O 2.14-2.15, 4 N 2.14-2.16
Hf  0.7854  0.7474  0.0318  4 N 2.10-2.22, 2 O 2.16-2.20
Hf  0.0384  0.2819  0.2529  5 N 2.09-2.19, 1 O 2.26
Hf  0.5378  0.7834  0.2522  3 N 2.07-2.19, 3 O 2.10-2.22
N  0.4641  0.2366  0.0070  4 Hf 2.06-2.19
N  0.2225  0.9495  0.4891  4 Hf 2.10-2.22
N  0.9898  0.0322  0.2610  4 Hf 2.08-2.16
N  0.7694  0.0435  0.5131  4 Hf 2.13-2.19
N  0.7309  0.4678  0.9534  4 Hf 2.12-2.21
N  0.2767  0.5354  0.0481  4 Hf 2.10-2.21
N  0.9703  0.4611  0.7299  4 Hf 2.08-2.19
N  0.5111  0.2690  0.5422  4 Hf 2.09-2.16
N  0.7715  0.2268  0.2372  4 Hf 2.05-2.21
N  0.2759  0.2619  0.2288  4 Hf 2.06-2.19
N  0.7558  0.7271  0.2697  4 Hf 2.07-2.22
N  0.9542  0.2274  0.9650  4 Hf 2.07-2.19
N  0.5420  0.0041  0.7713  4 Hf 2.09-2.14
N  0.7305  0.7431  0.7753  4 Hf 2.10-2.21
N  0.7420  0.5192  0.4675  4 Hf 2.05-2.24
N  0.2610  0.4924  0.5380  4 Hf 2.11-2.19

Output
Symmetry: P1, No. 1
Total magnetization in μB/f.u.: 0.00
Calculated formation energy in eV per atom: -2.5676